1.
This record from Materials Project describes a relaxed structure of ErBi3. The functional is PBE-GGA.

The structure belongs to space group P6_3/mmc (No. 194); the cell edges are 6.8232, 6.8232 and 6.0046 Å and the angles 90.00°, 90.00° and 120.00°. The inequivalent atoms are Er at (0.3333, 0.6667, 0.2500) and Bi at (0.1726, 0.3451, 0.7500).

Its total magnetization is 0.0 μB per cell. The value obtained for the energy is -34.8 eV per cell. Its crystal system is hexagonal. The formation energy comes out at -0.2918 eV/atom.

=====

2.
This record from Materials Project describes a relaxed structure of ErBi3. The functional is PBE-GGA.

The structure belongs to space group Pm-3m (No. 221); the cell edges are 4.936, 4.936 and 4.936 Å and the angles 90.00°, 90.00° and 90.00°. The inequivalent atoms are Er at (0.000, 0.000, 0.000) and Bi at (0.000, 0.500, 0.500).

Its total magnetization is 0.0 μB per cell. The value obtained for the energy is -17.4 eV per cell. Its crystal system is cubic. The formation energy comes out at -0.2783 eV/atom.

=====

3.
This record from Materials Project describes a relaxed structure of Ho3Er3MnBi2. The functional is PBE-GGA.

The structure belongs to space group P-62m (No. 189); the cell edges are 8.2525, 8.2525 and 4.2494 Å and the angles 90.00°, 90.00° and 120.00°. The inequivalent atoms are Ho at (0.0000, 0.7671, 0.0000), Er at (0.0000, 0.3925, 0.5000), Mn at (0.0000, 0.0000, 0.5000) and Bi at (0.3333, 0.6667, 0.0000).

Its total magnetization is 0.1 μB per cell. The value obtained for the energy is -48.0 eV per cell. Its crystal system is hexagonal. The formation energy comes out at -0.3960 eV/atom.